! CaSiO3 PBE optimized geometry; values from VASP
&SYSTEM
  ibrav = 0, nat = 20, ntyp = 3
/
ATOMIC_SPECIES
Ca 40.08 Ca.upf
Si 28.09 Si.upf
O 16.00 O.upf
CELL_PARAMETERS angstrom
-3.6091 3.6091 3.6091
3.6091 -3.6091 3.6091
3.6091 3.6091 -3.6091
ATOMIC_POSITIONS angstrom
Ca 3.6091 0.0000 0.0000
Ca 0.0000 3.6091 0.0000
Ca 0.0000 0.0000 0.0000
Ca 0.0000 0.0000 3.6091
Si 1.8045 -1.8045 1.8045
Si 1.8045 1.8045 -1.8045
Si 1.8045 1.8045 1.8045
Si -1.8045 1.8045 1.8045
O -1.7294 1.8825 3.6091
O 5.3385 1.7266 0.0000
O 1.7266 0.0000 1.8797
O 1.7294 1.8825 3.6091
O 1.8797 1.7266 0.0000
O 0.0000 1.8797 1.7266
O 1.8825 3.6091 1.7294
O 1.7266 0.0000 5.3385
O 1.8825 3.6091 -1.7294
O 3.6091 -1.7294 1.8825
O 0.0000 5.3385 1.7266
O 3.6091 1.7294 1.8825
! - Magnetic moment: 0.00 μB/f.u.
! - Raw total energy: -7.247 eV per atom

***

! Zr2Se3S3 PBE optimized geometry; values from VASP
&SYSTEM
  ibrav = 0, nat = 8, ntyp = 3
/
ATOMIC_SPECIES
Zr 91.22 Zr.upf
Se 78.96 Se.upf
S 32.06 S.upf
CELL_PARAMETERS angstrom
-2.4745 2.0588 1.8869
2.7264 -0.9325 4.5930
5.8182 7.6162 -0.6798
ATOMIC_POSITIONS angstrom
Zr 4.5478 5.3496 3.8164
Zr 2.7499 2.3416 1.0514
Se 6.1423 5.8897 1.6291
Se 2.6435 5.0241 1.6742
Se 4.6514 2.6633 3.1941
S 0.1325 2.2734 1.3825
S 7.1604 5.3599 3.5423
S 1.2012 1.9505 3.1364
! - Magnetic moment: 0.00 μB/f.u.
! - Raw total energy: -6.097 eV per atom

***

! Mn8Nb3Si PBE optimized geometry; values from VASP
&SYSTEM
  ibrav = 0, nat = 12, ntyp = 3
/
ATOMIC_SPECIES
Mn 54.94 Mn.upf
Nb 92.91 Nb.upf
Si 28.09 Si.upf
CELL_PARAMETERS angstrom
2.3819 -4.1255 0.0000
2.3819 4.1255 0.0000
0.0000 0.0000 7.8187
ATOMIC_POSITIONS angstrom
Mn 2.3819 1.3752 3.9292
Mn 2.3819 1.3752 0.0750
Mn 1.2219 -2.0449 5.8385
Mn 2.3819 -0.0357 5.8385
Mn 3.5418 -2.0449 5.8385
Mn 1.1415 0.6590 1.9748
Mn 2.3819 2.8074 1.9748
Mn 3.6222 0.6590 1.9748
Nb 2.3819 -1.3752 3.4661
Nb 2.3819 -1.3752 0.5151
Nb 0.0000 0.0000 7.1838
Si 0.0000 0.0000 4.3929
! - Magnetic moment: 2.35 μB/f.u.
! - Raw total energy: -9.243 eV per atom

***

! Nd7Se4Cl3O17 PBE optimized geometry; values from VASP
&SYSTEM
  ibrav = 0, nat = 62, ntyp = 4
/
ATOMIC_SPECIES
Nd 144.24 Nd.upf
Se 78.96 Se.upf
Cl 35.45 Cl.upf
O 16.00 O.upf
CELL_PARAMETERS angstrom
-1.3447 4.9379 -4.8192
-2.5938 -6.1556 -6.8877
-15.4240 2.0460 3.1202
ATOMIC_POSITIONS angstrom
Nd -10.0086 4.4462 -3.6066
Nd -9.3539 -3.6180 -4.9802
Nd -13.7173 3.7004 -1.5325
Nd -5.6451 -2.8721 -7.0543
Nd -9.0579 -2.3023 -8.6913
Nd -10.3045 3.1305 0.1046
Nd -5.7322 -1.6033 -10.6324
Nd -13.6303 2.4315 2.0456
Nd -1.7136 0.9462 -2.7338
Nd -17.6488 -0.1179 -5.8529
Nd -14.0483 0.5267 -7.8645
Nd -5.3141 0.3015 -0.7223
Nd -6.7042 0.6924 -7.6172
Nd -12.6583 0.1359 -0.9695
Se -5.2020 1.9070 -4.3680
Se -14.1605 -1.0788 -4.2188
Se -10.3766 -0.1909 -6.4269
Se -8.9858 1.0191 -2.1599
Se -12.3640 2.0987 -4.3953
Se -6.9984 -1.2705 -4.1915
Se -2.5910 -3.7022 -5.3136
Se -16.7715 4.5305 -3.2732
Cl -7.9915 2.4893 -5.7073
Cl -11.3710 -1.6610 -2.8795
Cl -3.8441 -0.0907 -7.2978
Cl -15.5183 0.9189 -1.2890
Cl -15.5494 2.2755 -5.7913
Cl -3.8130 -1.4472 -2.7955
O -6.8669 -1.4282 -8.5904
O -12.4956 2.2564 0.0036
O -4.4387 -2.8773 -9.1648
O -14.9238 3.7056 0.5781
O -11.2992 4.4408 -1.6019
O -8.0633 -3.6126 -6.9849
O -16.3915 -0.1916 -7.9115
O -2.9709 1.0198 -0.6753
O -11.6096 -4.3560 -5.2189
O -7.7529 5.1843 -3.3679
O -3.5207 1.9353 -4.0783
O -15.8418 -1.1071 -4.5085
O -5.8832 1.4858 -2.8365
O -13.4793 -0.6576 -5.7503
O -5.4238 3.6514 -4.1514
O -13.9386 -2.8232 -4.4353
O -11.5545 0.3596 -7.5575
O -7.8080 0.4686 -1.0293
O -9.0352 -0.0762 -7.5315
O -10.3272 0.9044 -1.0553
O -10.5891 -1.9439 -6.5727
O -8.7734 2.7722 -2.0141
O -10.6821 2.1371 -4.1680
O -8.6804 -1.3088 -4.4188
O -12.9791 1.5857 -2.8516
O -6.3833 -0.7575 -5.7352
O -12.6901 3.8122 -4.1857
O -6.6723 -2.9839 -4.4011
O -3.0381 -3.0287 -6.8137
O -16.3244 3.8569 -1.7731
O -4.2486 -4.1555 -4.9493
O -15.1139 4.9838 -3.6374
O -18.8111 1.6606 -7.4910
O -0.5513 -0.8323 -1.0958
! - Magnetic moment: 0.00 μB/f.u.
! - Raw total energy: -6.803 eV per atom

***

! SmYSe2 PBE optimized geometry; values from VASP
&SYSTEM
  ibrav = 0, nat = 4, ntyp = 3
/
ATOMIC_SPECIES
Sm 150.36 Sm.upf
Y 88.91 Y.upf
Se 78.96 Se.upf
CELL_PARAMETERS angstrom
6.9450 -2.0499 0.0000
6.9450 2.0499 0.0000
6.3400 0.0000 3.4986
ATOMIC_POSITIONS angstrom
Sm 0.0000 0.0000 0.0000
Y 10.1150 0.0000 1.7493
Se 4.9918 0.0000 0.8633
Se 15.2382 0.0000 2.6353
! - Raw total energy: -6.331 eV per atom

***

! Li2PH4O6 PBE optimized geometry; values from VASP
&SYSTEM
  ibrav = 0, nat = 52, ntyp = 4
/
ATOMIC_SPECIES
Li 6.94 Li.upf
P 30.97 P.upf
H 1.01 H.upf
O 16.00 O.upf
CELL_PARAMETERS angstrom
-2.9107 7.1974 -1.9436
0.0674 -1.3429 -5.0740
-9.4042 -9.9354 2.5046
ATOMIC_POSITIONS angstrom
Li -9.2112 -0.1772 -2.4737
Li -4.5349 5.3052 -1.7813
Li -3.0363 -3.9037 -2.0393
Li -7.7126 -9.3861 -2.7317
Li -8.2120 -5.2575 -1.1552
Li -3.5368 0.2444 -0.3893
Li -4.0354 1.1766 -3.3578
Li -8.7107 -4.3253 -4.1237
P -10.2929 -3.0494 -1.8192
P -5.6189 2.4782 -0.9563
P -1.9545 -1.0315 -2.6939
P -6.6285 -6.5591 -3.5567
H -9.0936 -7.7302 -0.6444
H -4.4216 -2.1631 0.3680
H -3.1539 3.6493 -3.8686
H -7.8259 -1.9178 -4.8810
H -10.2832 -6.6860 -0.3245
H -5.5960 -1.4217 -0.4559
H -1.9643 2.6051 -4.1885
H -6.6515 -2.6593 -4.0571
H -0.8295 0.0270 -5.0599
H -5.5557 -4.4614 -1.9968
H -11.4179 -4.1080 0.5469
H -6.6918 0.3805 -2.5162
H -9.9960 -7.5480 1.3698
H -5.2725 -3.0069 -1.4944
H -2.2514 3.4671 -5.8829
H -6.9750 -1.0740 -3.0186
O -0.5435 -0.2093 -2.3719
O -5.2719 -4.6515 0.8659
O -11.7040 -3.8716 -2.1411
O -6.9755 0.5706 -5.3789
O -10.2756 -2.7177 -0.3159
O -5.5622 2.0230 -2.4258
O -1.9718 -1.3632 -4.1971
O -6.6853 -6.1039 -2.0872
O -9.3153 -4.1345 -2.2521
O -4.5921 0.4127 -5.0932
O -2.9322 0.0536 -2.2609
O -7.6554 -4.4936 0.5802
O -10.2911 -1.8065 -2.7113
O -5.5637 2.6567 -5.8699
O -1.9564 -2.2744 -1.8017
O -6.6838 -6.7376 1.3569
O -9.3728 -6.7874 -0.6555
O -4.6948 -1.3401 -0.0956
O -2.8747 2.7065 -3.8575
O -7.5527 -2.7409 -4.4174
O -9.7265 -9.0885 -2.7738
O -5.0487 -3.6375 -2.2000
O -2.5210 5.0076 -1.7392
O -7.1988 -0.4435 -2.3131
! - Magnetic moment: 0.02 μB/f.u.
! - Raw total energy: -5.627 eV per atom

***

! Dy PBE optimized geometry; values from VASP
&SYSTEM
  ibrav = 0, nat = 1, ntyp = 1
/
ATOMIC_SPECIES
Dy 162.50 Dy.upf
CELL_PARAMETERS angstrom
2.0006 2.0006 2.0006
2.0006 -2.0006 -2.0006
-2.0006 2.0006 -2.0006
ATOMIC_POSITIONS angstrom
Dy 0.0000 0.0000 0.0000
! - Raw total energy: -4.460 eV per atom

***

! CsSO3 PBE optimized geometry; values from VASP
&SYSTEM
  ibrav = 0, nat = 20, ntyp = 3
/
ATOMIC_SPECIES
Cs 132.91 Cs.upf
S 32.06 S.upf
O 16.00 O.upf
CELL_PARAMETERS angstrom
1.3480 6.0790 -1.5977
-6.0827 -2.0770 -0.1026
-1.3408 3.3524 11.6241
ATOMIC_POSITIONS angstrom
Cs -1.4571 4.1811 1.7466
Cs -0.0069 0.0173 0.0599
Cs -4.6044 3.1386 8.0570
Cs -0.6773 1.6935 5.8719
S -3.9018 1.3818 1.9655
S -2.0953 5.7767 7.2792
S -4.1445 1.9885 4.0693
S -2.3379 6.3834 9.3830
O -1.6218 4.3858 7.3633
O -3.7532 0.8039 4.8545
O -2.4752 1.0371 1.8578
O -0.9962 6.2420 9.9770
O -5.5701 2.3396 4.2021
O -2.8130 7.7777 9.3245
O -4.8159 0.2379 1.8183
O -3.4438 5.9258 6.7090
O -4.2971 2.5772 1.2035
O -1.1030 6.7251 6.7485
O -3.3303 5.4450 9.9376
O -3.2359 3.1366 4.2414
! - Raw total energy: -5.638 eV per atom
! - Largest piezoelectric modulus: 0.5 C/m2

***

! LaMg6Ga PBE optimized geometry; values from VASP
&SYSTEM
  ibrav = 0, nat = 8, ntyp = 3
/
ATOMIC_SPECIES
La 138.91 La.upf
Mg 24.30 Mg.upf
Ga 69.72 Ga.upf
CELL_PARAMETERS angstrom
-6.4896 -1.7001 -0.2555
4.2988 -3.7211 3.5700
-0.9103 2.8618 4.0791
ATOMIC_POSITIONS angstrom
La 0.0152 -0.7879 2.1287
Mg 2.2023 -2.7081 3.9639
Mg -3.1524 -1.5999 1.9914
Mg -0.9360 -3.5255 3.8370
Mg 0.0608 -1.0027 5.4346
Mg -5.2628 0.1825 3.4150
Mg -3.2054 -1.7548 5.2333
Ga -2.1266 0.9589 3.5702
! - Magnetic moment: 0.00 μB/f.u.
! - Raw total energy: -2.238 eV per atom

***

! LiCu2C2O7 PBE optimized geometry; values from VASP
&SYSTEM
  ibrav = 0, nat = 24, ntyp = 4
/
ATOMIC_SPECIES
Li 6.94 Li.upf
Cu 63.55 Cu.upf
C 12.01 C.upf
O 16.00 O.upf
CELL_PARAMETERS angstrom
2.3940 4.1771 -0.0195
-2.4505 4.1672 -0.0165
0.0174 0.1764 15.2417
ATOMIC_POSITIONS angstrom
Li -2.4269 4.2457 7.5949
Li 0.0074 0.1939 15.2402
Cu -0.0123 2.9272 13.1703
Cu -0.0224 2.9070 9.6604
Cu -0.0432 5.6229 5.5626
Cu -0.0057 5.5782 2.0523
C -0.0408 5.6685 8.9487
C -0.0315 5.7300 13.8543
C -0.0071 2.8488 6.2456
C -0.0067 2.7858 1.3431
O -1.3230 5.6404 13.8896
O -1.2999 2.9371 6.2762
O -0.7530 4.5857 8.9099
O -0.7265 3.8635 1.3711
O -0.6212 6.8265 8.9171
O -0.5885 1.6279 1.2973
O -0.0388 5.7022 3.8042
O 0.0885 2.8716 11.4153
O 0.5317 6.8956 13.8117
O 0.5599 1.6843 6.2627
O 0.6909 4.6531 13.8941
O 0.7182 3.9216 6.2298
O 1.2508 5.5844 8.9853
O 1.2857 2.8642 1.3266
! - Magnetic moment: 3.00 μB/f.u.
! - Raw total energy: -6.355 eV per atom

***

! SmDyZn2 PBE optimized geometry; values from VASP
&SYSTEM
  ibrav = 0, nat = 4, ntyp = 3
/
ATOMIC_SPECIES
Sm 150.36 Sm.upf
Dy 162.50 Dy.upf
Zn 65.41 Zn.upf
CELL_PARAMETERS angstrom
0.0000 3.6102 3.6102
3.6102 0.0000 3.6102
3.6102 3.6102 0.0000
ATOMIC_POSITIONS angstrom
Sm 0.0000 0.0000 0.0000
Dy 3.6102 3.6102 3.6102
Zn 1.8051 1.8051 1.8051
Zn 5.4153 5.4153 5.4153
! - Raw total energy: -3.296 eV per atom

***

! K2Nb2As2O11 PBE optimized geometry; values from VASP
&SYSTEM
  ibrav = 0, nat = 68, ntyp = 4
/
ATOMIC_SPECIES
K 39.10 K.upf
Nb 92.91 Nb.upf
As 74.92 As.upf
O 16.00 O.upf
CELL_PARAMETERS angstrom
10.6823 0.0000 0.0000
0.0000 10.1686 0.0000
0.0000 1.2345 10.4910
ATOMIC_POSITIONS angstrom
K 2.2146 8.1694 5.6934
K 7.5557 3.2338 4.7976
K 8.4940 3.8309 9.9843
K 3.1529 7.5722 0.5067
K 0.0009 5.3919 2.6242
K 5.3421 6.0112 7.8668
K 0.6141 11.0500 7.9499
K 5.9552 0.3531 2.5411
Nb 0.9950 1.9502 4.0251
Nb 6.3361 9.4529 6.4659
Nb 9.6969 8.8309 1.2154
Nb 4.3557 2.5722 9.2756
Nb 3.3947 4.8910 4.1601
Nb 8.7359 6.5121 6.3309
Nb 7.2878 5.8889 1.0862
Nb 1.9466 5.5142 9.4048
As 4.1198 1.8219 5.8820
As 9.4610 9.5812 4.6090
As 6.5614 10.1933 9.8438
As 1.2202 1.2098 0.6471
As 0.8384 4.5014 6.3429
As 6.1796 6.9017 4.1480
As 9.8433 7.5228 9.3915
As 4.5022 3.8803 1.0994
O 2.0370 3.5894 3.7044
O 7.3782 7.8138 6.7866
O 8.6448 7.1982 1.5378
O 3.3036 4.2049 8.9532
O 10.0920 2.5530 3.5050
O 4.7509 8.8501 6.9859
O 0.5935 8.2285 1.7487
O 5.9347 3.1746 8.7423
O 3.7030 1.6605 7.5834
O 9.0442 9.7427 2.9076
O 6.9654 10.3598 8.1538
O 1.6243 1.0434 2.3372
O 2.3087 5.2818 5.8931
O 7.6499 6.1214 4.5979
O 8.3739 6.7423 9.8440
O 3.0327 4.6608 0.6470
O 4.7030 4.0359 2.7989
O 10.0442 7.3672 7.6921
O 5.9863 6.7530 2.4459
O 0.6451 4.6501 8.0451
O 2.7812 6.2960 3.2405
O 8.1224 5.1071 7.2505
O 7.8969 4.4808 2.0042
O 2.5557 6.9223 8.4868
O 4.4611 3.4434 5.5237
O 9.8023 7.9598 4.9673
O 6.2251 8.5739 10.2139
O 0.8839 2.8293 0.2771
O 2.8892 1.0488 5.0010
O 8.2304 10.3543 5.4900
O 7.7447 9.7417 0.2989
O 2.4035 1.6614 10.1921
O 0.7902 2.8167 6.0245
O 6.1313 8.5865 4.4665
O 9.9112 9.2095 9.7123
O 4.5700 2.1936 0.7787
O 0.3040 10.3821 4.9395
O 5.6452 1.0211 5.5515
O 10.3834 0.3979 0.3098
O 5.0423 11.0052 10.1812
O 4.9512 6.0657 5.0120
O 10.2923 5.3374 5.4790
O 5.7294 4.7213 0.2351
O 0.3882 6.6819 10.2559
! - Raw total energy: -7.036 eV per atom